[1]
Crystalline UCoSi2 at its relaxed geometry, computed with r²SCAN.

a = 3.931 Å, b = 3.964 Å, c = 8.394 Å
α = 90.00°, β = 102.67°, γ = 90.00°
Positions (direct):
U: 0.098 0.250 0.216
U: 0.902 0.750 0.784
Co: 0.307 0.250 0.647
Co: 0.693 0.750 0.353
Si: 0.262 0.750 0.500
Si: 0.460 0.250 0.919
Si: 0.540 0.750 0.081
Si: 0.738 0.250 0.500

SG: P2_1/m (11)
Crystal system: monoclinic
V, A^3/atom: 15.954
E_tot, eV per cell: -226.04

[2]
Crystalline YCoSi at its relaxed geometry, computed with r²SCAN.

a = 6.871 Å, b = 4.156 Å, c = 6.948 Å
α = 90.00°, β = 90.00°, γ = 90.00°
Positions (direct):
Y: 0.016 0.250 0.190
Y: 0.484 0.750 0.690
Y: 0.516 0.250 0.310
Y: 0.984 0.750 0.810
Co: 0.145 0.750 0.437
Co: 0.355 0.250 0.937
Co: 0.645 0.750 0.063
Co: 0.855 0.250 0.563
Si: 0.194 0.250 0.604
Si: 0.306 0.750 0.104
Si: 0.694 0.250 0.896
Si: 0.806 0.750 0.396

SG: Pnma (62)
Crystal system: orthorhombic
V, A^3/atom: 16.536
E_tot, eV per cell: -177.19

[3]
Crystalline YCoSi2 at its relaxed geometry, computed with r²SCAN.

a = 8.338 Å, b = 8.338 Å, c = 3.954 Å
α = 90.00°, β = 90.00°, γ = 152.08°
Positions (direct):
Y: 0.108 0.892 0.750
Y: 0.892 0.108 0.250
Co: 0.320 0.680 0.750
Co: 0.680 0.320 0.250
Si: 0.250 0.750 0.250
Si: 0.457 0.543 0.750
Si: 0.543 0.457 0.250
Si: 0.750 0.250 0.750

SG: Cmcm (63)
Crystal system: orthorhombic
V, A^3/atom: 16.092
E_tot, eV per cell: -108.27

[4]
Crystalline YCo2Si2 at its relaxed geometry, computed with r²SCAN.

a = 5.568 Å, b = 5.568 Å, c = 5.568 Å
α = 139.51°, β = 139.51°, γ = 58.60°
Positions (direct):
Y: 0.000 0.000 0.000
Co: 0.250 0.750 0.500
Co: 0.750 0.250 0.500
Si: 0.370 0.370 0.000
Si: 0.630 0.630 0.000

SG: I4/mmm (139)
Crystal system: tetragonal
V, A^3/atom: 14.424
E_tot, eV per cell: -68.19

[5]
Crystalline YbCo2Si2 at its relaxed geometry, computed with r²SCAN.

a = 5.509 Å, b = 5.509 Å, c = 5.509 Å
α = 139.48°, β = 139.48°, γ = 58.65°
Positions (direct):
Yb: 0.000 0.000 0.000
Co: 0.250 0.750 0.500
Co: 0.750 0.250 0.500
Si: 0.373 0.373 0.000
Si: 0.627 0.627 0.000

SG: I4/mmm (139)
Crystal system: tetragonal
V, A^3/atom: 13.983
E_tot, eV per cell: -84.47

[6]
Crystalline ZrCo2Si2 at its relaxed geometry, computed with r²SCAN.

a = 5.477 Å, b = 5.477 Å, c = 5.477 Å
α = 140.31°, β = 140.31°, γ = 57.38°
Positions (direct):
Zr: 0.000 0.000 0.000
Co: 0.250 0.750 0.500
Co: 0.750 0.250 0.500
Si: 0.377 0.377 0.000
Si: 0.623 0.623 0.000

SG: I4/mmm (139)
Crystal system: tetragonal
V, A^3/atom: 13.282
E_tot, eV per cell: -70.55

[7]
Crystalline Zr2CoSi2 at its relaxed geometry, computed with r²SCAN.

a = 5.311 Å, b = 5.311 Å, c = 9.457 Å
α = 116.40°, β = 116.40°, γ = 43.00°
Positions (direct):
Zr: 0.001 0.001 0.174
Zr: 0.188 0.188 0.601
Zr: 0.812 0.812 0.399
Zr: 0.999 0.999 0.826
Co: 0.277 0.277 0.126
Co: 0.723 0.723 0.874
Si: 0.355 0.355 0.929
Si: 0.489 0.489 0.623
Si: 0.511 0.511 0.377
Si: 0.645 0.645 0.071

SG: C2/m (12)
Crystal system: monoclinic
V, A^3/atom: 15.981
E_tot, eV per cell: -161.58

[8]
Crystalline SmYCo17 at its relaxed geometry, computed with r²SCAN.

a = 6.261 Å, b = 6.261 Å, c = 6.261 Å
α = 82.90°, β = 82.90°, γ = 82.90°
Positions (direct):
Sm: 0.000 0.000 0.000
Y: 0.688 0.688 0.688
Co: 0.001 0.001 0.497
Co: 0.001 0.497 0.001
Co: 0.056 0.345 0.633
Co: 0.056 0.633 0.345
Co: 0.192 0.686 0.686
Co: 0.251 0.251 0.251
Co: 0.345 0.056 0.633
Co: 0.345 0.345 0.845
Co: 0.345 0.633 0.056
Co: 0.345 0.845 0.345
Co: 0.439 0.439 0.439
Co: 0.497 0.001 0.001
Co: 0.633 0.056 0.345
Co: 0.633 0.345 0.056
Co: 0.686 0.192 0.686
Co: 0.686 0.686 0.192
Co: 0.845 0.345 0.345

SG: R3m (160)
Crystal system: trigonal
V, A^3/atom: 12.642
E_tot, eV per cell: -276.12

[9]
Crystalline CoSn at its relaxed geometry, computed with r²SCAN.

a = 5.246 Å, b = 5.246 Å, c = 4.188 Å
α = 90.00°, β = 90.00°, γ = 120.00°
Positions (direct):
Co: 0.000 0.500 0.000
Co: 0.500 0.000 0.000
Co: 0.500 0.500 0.000
Sn: 0.000 0.000 0.000
Sn: 0.333 0.667 0.500
Sn: 0.667 0.333 0.500

SG: P6/mmm (191)
Crystal system: hexagonal
V, A^3/atom: 16.634
E_tot, eV per cell: -113.67

[10]
Crystalline CoSn2 at its relaxed geometry, computed with r²SCAN.

a = 5.225 Å, b = 5.225 Å, c = 5.225 Å
α = 105.79°, β = 105.79°, γ = 117.12°
Positions (direct):
Co: 0.250 0.250 0.000
Co: 0.750 0.750 0.000
Sn: 0.167 0.667 0.833
Sn: 0.333 0.167 0.500
Sn: 0.667 0.833 0.500
Sn: 0.833 0.333 0.167

SG: I4/mcm (140)
Crystal system: tetragonal
V, A^3/atom: 18.053
E_tot, eV per cell: -124.83

[11]
Crystalline TbCoSn at its relaxed geometry, computed with r²SCAN.

a = 7.392 Å, b = 4.585 Å, c = 7.540 Å
α = 90.00°, β = 90.00°, γ = 90.00°
Positions (direct):
Tb: 0.019 0.250 0.213
Tb: 0.481 0.750 0.713
Tb: 0.519 0.250 0.287
Tb: 0.981 0.750 0.787
Co: 0.156 0.750 0.433
Co: 0.344 0.250 0.933
Co: 0.656 0.750 0.067
Co: 0.844 0.250 0.567
Sn: 0.211 0.250 0.600
Sn: 0.289 0.750 0.100
Sn: 0.711 0.250 0.900
Sn: 0.789 0.750 0.400

SG: Pnma (62)
Crystal system: orthorhombic
V, A^3/atom: 21.295
E_tot, eV per cell: -282.82

[12]
Crystalline Tb7Co6Sn23 at its relaxed geometry, computed with r²SCAN.

a = 9.686 Å, b = 9.686 Å, c = 9.870 Å
α = 90.00°, β = 90.00°, γ = 120.00°
Positions (direct):
Tb: 0.000 0.000 0.000
Tb: 0.044 0.522 0.306
Tb: 0.478 0.522 0.306
Tb: 0.478 0.956 0.306
Tb: 0.522 0.044 0.694
Tb: 0.522 0.478 0.694
Tb: 0.956 0.478 0.694
Co: 0.167 0.334 0.803
Co: 0.167 0.833 0.803
Co: 0.334 0.167 0.197
Co: 0.666 0.833 0.803
Co: 0.833 0.167 0.197
Co: 0.833 0.666 0.197
Sn: 0.000 0.000 0.500
Sn: 0.000 0.347 0.000
Sn: 0.000 0.653 0.000
Sn: 0.116 0.233 0.275
Sn: 0.116 0.884 0.275
Sn: 0.219 0.438 0.549
Sn: 0.219 0.781 0.549
Sn: 0.233 0.116 0.725
Sn: 0.333 0.667 0.113
Sn: 0.333 0.667 0.819
Sn: 0.347 0.000 0.000
Sn: 0.347 0.347 0.000
Sn: 0.438 0.219 0.451
Sn: 0.562 0.781 0.549
Sn: 0.653 0.000 0.000
Sn: 0.653 0.653 0.000
Sn: 0.667 0.333 0.181
Sn: 0.667 0.333 0.887
Sn: 0.767 0.884 0.275
Sn: 0.781 0.219 0.451
Sn: 0.781 0.562 0.451
Sn: 0.884 0.116 0.725
Sn: 0.884 0.767 0.725

SG: P-3m1 (164)
Crystal system: trigonal
V, A^3/atom: 22.276
E_tot, eV per cell: -880.66

[13]
Crystalline Tb3Co4Sn13 at its relaxed geometry, computed with r²SCAN.

a = 9.500 Å, b = 9.500 Å, c = 9.500 Å
α = 90.00°, β = 90.00°, γ = 90.00°
Positions (direct):
Tb: 0.000 0.250 0.500
Tb: 0.000 0.750 0.500
Tb: 0.250 0.500 0.000
Tb: 0.500 0.000 0.250
Tb: 0.500 0.000 0.750
Tb: 0.750 0.500 0.000
Co: 0.250 0.250 0.250
Co: 0.250 0.250 0.750
Co: 0.250 0.750 0.250
Co: 0.250 0.750 0.750
Co: 0.750 0.250 0.250
Co: 0.750 0.250 0.750
Co: 0.750 0.750 0.250
Co: 0.750 0.750 0.750
Sn: 0.000 0.000 0.000
Sn: 0.000 0.304 0.158
Sn: 0.000 0.304 0.842
Sn: 0.000 0.696 0.158
Sn: 0.000 0.696 0.842
Sn: 0.158 0.000 0.304
Sn: 0.158 0.000 0.696
Sn: 0.196 0.500 0.342
Sn: 0.196 0.500 0.658
Sn: 0.304 0.158 0.000
Sn: 0.304 0.842 0.000
Sn: 0.342 0.196 0.500
Sn: 0.342 0.804 0.500
Sn: 0.500 0.342 0.196
Sn: 0.500 0.342 0.804
Sn: 0.500 0.500 0.500
Sn: 0.500 0.658 0.196
Sn: 0.500 0.658 0.804
Sn: 0.658 0.196 0.500
Sn: 0.658 0.804 0.500
Sn: 0.696 0.158 0.000
Sn: 0.696 0.842 0.000
Sn: 0.804 0.500 0.342
Sn: 0.804 0.500 0.658
Sn: 0.842 0.000 0.304
Sn: 0.842 0.000 0.696

SG: Pm-3n (223)
Crystal system: cubic
V, A^3/atom: 21.432
E_tot, eV per cell: -947.20

[14]
Crystalline Ti2Co3Sn2 at its relaxed geometry, computed with r²SCAN.

a = 7.266 Å, b = 7.266 Å, c = 7.266 Å
α = 33.87°, β = 33.87°, γ = 33.87°
Positions (direct):
Ti: 0.000 0.000 0.000
Ti: 0.494 0.494 0.494
Co: 0.126 0.126 0.126
Co: 0.620 0.620 0.620
Co: 0.871 0.871 0.871
Sn: 0.253 0.253 0.253
Sn: 0.744 0.744 0.744

SG: R3m (160)
Crystal system: trigonal
V, A^3/atom: 15.172
E_tot, eV per cell: -117.58

[15]
Crystalline Ti5CoSn3 at its relaxed geometry, computed with r²SCAN.

a = 8.208 Å, b = 8.208 Å, c = 5.437 Å
α = 90.00°, β = 90.00°, γ = 120.00°
Positions (direct):
Ti: 0.000 0.245 0.250
Ti: 0.000 0.755 0.750
Ti: 0.245 0.000 0.250
Ti: 0.245 0.245 0.750
Ti: 0.333 0.667 0.000
Ti: 0.333 0.667 0.500
Ti: 0.667 0.333 0.000
Ti: 0.667 0.333 0.500
Ti: 0.755 0.000 0.750
Ti: 0.755 0.755 0.250
Co: 0.000 0.000 0.000
Co: 0.000 0.000 0.500
Sn: 0.000 0.396 0.750
Sn: 0.000 0.604 0.250
Sn: 0.396 0.000 0.750
Sn: 0.396 0.396 0.250
Sn: 0.604 0.000 0.250
Sn: 0.604 0.604 0.750

SG: P6_3/mcm (193)
Crystal system: hexagonal
V, A^3/atom: 17.626
E_tot, eV per cell: -311.00

[16]
Crystalline Y7Co6Sn23 at its relaxed geometry, computed with r²SCAN.

a = 9.685 Å, b = 9.685 Å, c = 9.861 Å
α = 90.00°, β = 90.00°, γ = 120.00°
Positions (direct):
Y: 0.000 0.000 0.000
Y: 0.045 0.522 0.307
Y: 0.478 0.522 0.307
Y: 0.478 0.955 0.307
Y: 0.522 0.045 0.693
Y: 0.522 0.478 0.693
Y: 0.955 0.478 0.693
Co: 0.167 0.334 0.804
Co: 0.167 0.833 0.804
Co: 0.334 0.167 0.196
Co: 0.666 0.833 0.804
Co: 0.833 0.167 0.196
Co: 0.833 0.666 0.196
Sn: 0.000 0.000 0.500
Sn: 0.000 0.347 0.000
Sn: 0.000 0.653 0.000
Sn: 0.116 0.233 0.276
Sn: 0.116 0.884 0.276
Sn: 0.219 0.438 0.550
Sn: 0.219 0.781 0.550
Sn: 0.233 0.116 0.724
Sn: 0.333 0.667 0.113
Sn: 0.333 0.667 0.819
Sn: 0.347 0.000 0.000
Sn: 0.347 0.347 0.000
Sn: 0.438 0.219 0.450
Sn: 0.562 0.781 0.550
Sn: 0.653 0.000 0.000
Sn: 0.653 0.653 0.000
Sn: 0.667 0.333 0.181
Sn: 0.667 0.333 0.887
Sn: 0.767 0.884 0.276
Sn: 0.781 0.219 0.450
Sn: 0.781 0.562 0.450
Sn: 0.884 0.116 0.724
Sn: 0.884 0.767 0.724

SG: P-3m1 (164)
Crystal system: trigonal
V, A^3/atom: 22.254
E_tot, eV per cell: -803.96

[17]
Crystalline Zr6CoSn2 at its relaxed geometry, computed with r²SCAN.

a = 7.980 Å, b = 7.980 Å, c = 3.496 Å
α = 90.00°, β = 90.00°, γ = 120.00°
Positions (direct):
Zr: 0.000 0.240 0.000
Zr: 0.000 0.603 0.500
Zr: 0.240 0.000 0.000
Zr: 0.397 0.397 0.500
Zr: 0.603 0.000 0.500
Zr: 0.760 0.760 0.000
Co: 0.000 0.000 0.500
Sn: 0.333 0.667 0.000
Sn: 0.667 0.333 0.000

SG: P-62m (189)
Crystal system: hexagonal
V, A^3/atom: 21.419
E_tot, eV per cell: -203.33

[18]
Crystalline TaCo3 at its relaxed geometry, computed with r²SCAN.

a = 5.119 Å, b = 5.119 Å, c = 4.115 Å
α = 90.00°, β = 90.00°, γ = 120.00°
Positions (direct):
Ta: 0.333 0.667 0.250
Ta: 0.667 0.333 0.750
Co: 0.158 0.316 0.750
Co: 0.158 0.842 0.750
Co: 0.316 0.158 0.250
Co: 0.684 0.842 0.750
Co: 0.842 0.158 0.250
Co: 0.842 0.684 0.250

SG: P6_3/mmc (194)
Crystal system: hexagonal
V, A^3/atom: 11.673
E_tot, eV per cell: -176.97

[19]
Crystalline TaCo3 at its relaxed geometry, computed with r²SCAN.

a = 3.623 Å, b = 3.623 Å, c = 3.623 Å
α = 90.00°, β = 90.00°, γ = 90.00°
Positions (direct):
Ta: 0.000 0.000 0.000
Co: 0.000 0.500 0.500
Co: 0.500 0.000 0.500
Co: 0.500 0.500 0.000

SG: Pm-3m (221)
Crystal system: cubic
V, A^3/atom: 11.886
E_tot, eV per cell: -88.59